NdB12 after structural relaxation. Source: the Materials Project database, functional r²SCAN.

Crystal system   cubic
Calculated volume   434.5 Å³/cell
Energy relative to the elements   -218 meV/atom
Magnetization   0.00 μB/cell

abc: 7.574 7.574 7.574
angles: 90.00 90.00 90.00
Space group Fm-3m (No. 225)
Inequivalent atoms, fractional coordinates:
1 Nd 0.000 0.000 0.000
2 B 0.000 0.168 0.332

NdNi4B after structural relaxation. Source: the Materials Project database, functional r²SCAN.

Crystal system   hexagonal
Calculated volume   151.1 Å³/cell
Energy relative to the elements   -398 meV/atom
Magnetization   0.00 μB/cell

abc: 5.0225 5.0225 6.9146
angles: 90.00 90.00 120.00
Space group P6/mmm (No. 191)
Inequivalent atoms, fractional coordinates:
1 Nd 0.0000 0.0000 0.0000
2 Nd 0.0000 0.0000 0.5000
3 Ni 0.0000 0.5000 0.2075
4 Ni 0.3333 0.6667 0.5000
5 B 0.3333 0.6667 0.0000

NdBO3 after structural relaxation. Source: the Materials Project database, functional r²SCAN.

Crystal system   triclinic
Calculated volume   241.1 Å³/cell
Energy relative to the elements   -3313 meV/atom
Magnetization   0.00 μB/cell

abc: 6.291 6.573 6.585
angles: 93.74 108.27 108.45
Space group P-1 (No. 2)
Inequivalent atoms, fractional coordinates:
1 Nd 0.066 0.191 0.288
2 Nd 0.429 0.725 0.144
3 B 0.004 0.277 0.777
4 B 0.473 0.758 0.710
5 O 0.013 0.522 0.217
6 O 0.118 0.871 0.118
7 O 0.128 0.201 0.670
8 O 0.352 0.874 0.780
9 O 0.413 0.351 0.142
10 O 0.485 0.240 0.480

NdBO3 after structural relaxation. Source: the Materials Project database, functional r²SCAN.

Crystal system   orthorhombic
Calculated volume   234.2 Å³/cell
Energy relative to the elements   -3314 meV/atom
Magnetization   0.00 μB/cell

abc: 5.729 5.049 8.098
angles: 90.00 90.00 90.00
Space group Pnma (No. 62)
Inequivalent atoms, fractional coordinates:
1 Nd 0.242 0.250 0.085
2 B 0.083 0.250 0.738
3 O 0.088 0.016 0.824
4 O 0.099 0.250 0.569

NdB4Os4 after structural relaxation. Source: the Materials Project database, functional r²SCAN.

Crystal system   tetragonal
Calculated volume   230.7 Å³/cell
Energy relative to the elements   -446 meV/atom
Magnetization   0.00 μB/cell

abc: 7.598 7.598 3.996
angles: 90.00 90.00 90.00
Space group P4_2/n (No. 86, origin choice 2)
Inequivalent atoms, fractional coordinates:
1 Nd 0.250 0.250 0.250
2 B 0.032 0.914 0.140
3 Os 0.104 0.644 0.139

NdBPt2 after structural relaxation. Source: the Materials Project database, functional r²SCAN.

Crystal system   hexagonal
Calculated volume   206.2 Å³/cell
Energy relative to the elements   -1036 meV/atom
Magnetization   0.00 μB/cell

abc: 5.4538 5.4538 8.0063
angles: 90.00 90.00 120.00
Space group P6_222 (No. 180)
Inequivalent atoms, fractional coordinates:
1 Nd 0.0000 0.5000 0.1667
2 B 0.0000 0.5000 0.6667
3 Pt 0.1538 0.3075 0.5000

NdBPt3 after structural relaxation. Source: the Materials Project database, functional r²SCAN.

Crystal system   tetragonal
Calculated volume   82.2 Å³/cell
Energy relative to the elements   -973 meV/atom
Magnetization   0.00 μB/cell

abc: 4.021 4.021 5.086
angles: 90.00 90.00 90.00
Space group P4mm (No. 99)
Inequivalent atoms, fractional coordinates:
1 Nd 0.000 0.000 0.000
2 B 0.500 0.500 0.705
3 Pt 0.000 0.500 0.517
4 Pt 0.500 0.500 0.117

NdBRh3 after structural relaxation. Source: the Materials Project database, functional r²SCAN.

Crystal system   cubic
Calculated volume   75.9 Å³/cell
Energy relative to the elements   -754 meV/atom
Magnetization   0.73 μB/cell

abc: 4.233 4.233 4.233
angles: 90.00 90.00 90.00
Space group Pm-3m (No. 221)
Inequivalent atoms, fractional coordinates:
1 Nd 0.000 0.000 0.000
2 B 0.500 0.500 0.500
3 Rh 0.000 0.500 0.500

NdB2Rh3 after structural relaxation. Source: the Materials Project database, functional r²SCAN.

Crystal system   hexagonal
Calculated volume   80.8 Å³/cell
Energy relative to the elements   -730 meV/atom
Magnetization   0.00 μB/cell

abc: 5.4426 5.4426 3.1501
angles: 90.00 90.00 120.00
Space group P6/mmm (No. 191)
Inequivalent atoms, fractional coordinates:
1 Nd 0.0000 0.0000 0.0000
2 B 0.3333 0.6667 0.0000
3 Rh 0.0000 0.5000 0.5000

NdB4Ru4 after structural relaxation. Source: the Materials Project database, functional r²SCAN.

Crystal system   tetragonal
Calculated volume   852.6 Å³/cell
Energy relative to the elements   -489 meV/atom
Magnetization   0.00 μB/cell

abc: 7.518 7.518 15.087
angles: 90.00 90.00 90.00
Space group I4_1/acd (No. 142, origin choice 2)
Inequivalent atoms, fractional coordinates:
1 Nd 0.000 0.250 0.125
2 B 0.144 0.084 0.293
3 Ru 0.115 0.105 0.436

NdB2Ru2 after structural relaxation. Source: the Materials Project database, functional r²SCAN.

Crystal system   orthorhombic
Calculated volume   592.8 Å³/cell
Energy relative to the elements   -587 meV/atom
Magnetization   0.00 μB/cell

abc: 6.524 9.108 9.976
angles: 90.00 90.00 90.00
Space group Fddd (No. 70, origin choice 2)
Inequivalent atoms, fractional coordinates:
1 Nd 0.125 0.125 0.125
2 B 0.125 0.307 0.625
3 Ru 0.125 0.125 0.488

NiB after structural relaxation. Source: the Materials Project database, functional r²SCAN.

Crystal system   orthorhombic
Calculated volume   63.3 Å³/cell
Energy relative to the elements   -241 meV/atom
Magnetization   0.00 μB/cell

abc: 2.918 7.311 2.966
angles: 90.00 90.00 90.00
Space group Cmcm (No. 63)
Inequivalent atoms, fractional coordinates:
1 Ni 0.000 0.147 0.250
2 B 0.000 0.432 0.250

energy relative to the elements of number 2 (NdNi4B)?
-398 meV/atom

energy relative to the elements of number 8 (NdBRh3)?
-754 meV/atom